Entry 1:
VASP calculation (PBE) on a relaxed LiAsO3 crystal.

uncorrected energy = -5.82 eV per atom
energy of formation = -1.95 eV per atom

Structure (extended XYZ):
```
20
Lattice="-5.2761 1.3414 -4.5330 -1.7693 -6.7979 -0.9176 -4.5120 -0.6988 2.8033" Properties=species:S:1:pos:R:3 pbc="T T T"
O -4.4138 -1.9443 2.0666
O -2.7563 -0.2058 0.0479
As -3.4361 -0.9753 -1.2786
As -8.1213 -5.1800 -1.3687
O -8.8011 -5.9496 -2.6952
Li -7.9181 -0.9049 -1.6655
O -4.5932 -4.4815 0.6175
O -6.9641 -1.6739 -3.2648
O -7.4899 -6.0391 -0.0794
Li -5.5560 -6.3873 0.7697
O -4.7428 -3.2603 -3.5025
O -6.8146 -2.8951 0.8552
O -4.0674 -0.1163 -2.5679
As -5.0235 -2.8766 0.8124
O -7.1435 -4.2111 -4.7139
O -6.7876 -4.0998 -1.8831
O -4.7697 -2.0556 -0.7641
Li -3.6392 -5.2505 -0.9818
As -6.5339 -3.2788 -3.4597
Li -6.0014 0.2319 -3.4169
```

***

Entry 2:
VASP calculation (PBE) on a relaxed Li3AsO4 crystal.

uncorrected energy = -5.70 eV per atom
energy of formation = -2.27 eV per atom
energy above the most stable polymorph in this dataset = 0.00 eV/f.u.
piezoelectric modulus e_max = 1.14 C/m²

Structure (extended XYZ):
```
16
Lattice="-3.6131 3.4393 -0.7968 -3.5951 -4.0041 -0.9810 -1.5122 -0.1566 6.1813" Properties=species:S:1:pos:R:3 pbc="T T T"
O -5.0653 -0.6679 0.5648
O -3.0045 1.5497 -0.6958
Li -3.5624 -2.7855 3.9890
Li -2.7995 -2.7065 0.8707
O -1.8841 -0.9414 0.9720
O -4.2806 -2.8394 2.1585
Li -1.3601 -0.7165 2.9267
O -2.7242 -1.0284 4.4060
Li -3.3902 0.3741 0.8336
O -5.7374 -0.7375 3.3121
As -5.5330 -1.6847 1.8813
O -3.5238 -3.1256 -0.9413
Li -4.1395 0.2965 3.8965
Li -4.8311 -1.6144 -1.2228
As -4.2206 2.7448 -0.9630
O -3.4076 1.4993 2.4819
```

***

Entry 3:
VASP calculation (PBE) on a relaxed Li8AsO3 crystal.

uncorrected energy = -4.14 eV per atom
energy of formation = -1.41 eV per atom

Structure (extended XYZ):
```
12
Lattice="5.0937 0.0000 0.0000 0.0000 5.0937 0.0000 0.0000 0.0000 5.0937" Properties=species:S:1:pos:R:3 pbc="T T T"
Li 1.3685 1.3685 1.3685
O 2.5468 2.5468 0.0000
Li 3.7252 3.7252 1.3685
Li 1.3685 3.7252 3.7252
Li 1.3685 1.3685 3.7252
O 2.5468 0.0000 2.5468
Li 3.7252 1.3685 3.7252
Li 3.7252 1.3685 1.3685
As 0.0000 0.0000 0.0000
Li 3.7252 3.7252 3.7252
Li 1.3685 3.7252 1.3685
O 0.0000 2.5468 2.5468
```

***

Entry 4:
VASP calculation (PBE) on a relaxed LiAsO3 crystal.

uncorrected energy = -5.86 eV per atom
energy of formation = -1.99 eV per atom

Structure (extended XYZ):
```
10
Lattice="5.0292 -2.4492 0.0000 5.0292 2.4492 0.0000 3.8365 0.0000 4.0710" Properties=species:S:1:pos:R:3 pbc="T T T"
O 8.3055 -1.5651 2.2368
O 7.8449 0.6192 3.8091
As 9.1912 0.0000 2.6929
Li 1.8523 0.0000 0.5427
Li 12.0426 0.0000 3.5283
O 5.2878 -0.9459 2.8633
As 4.7037 0.0000 1.3781
O 6.0500 -0.6192 0.2619
O 5.5894 1.5651 1.8342
O 8.6071 0.9459 1.2076
```

***

Entry 5:
VASP calculation (PBE) on a relaxed Li3AsO4 crystal.

uncorrected energy = -5.70 eV per atom
energy of formation = -2.27 eV per atom
energy above the most stable polymorph in this dataset = 0.03 eV/f.u.

Structure (extended XYZ):
```
32
Lattice="5.1443 0.0000 0.0000 0.0000 6.3565 0.0000 0.0000 0.0000 10.9905" Properties=species:S:1:pos:R:3 pbc="T T T"
O 1.0388 0.1875 7.2712
Li 0.9906 3.1966 3.6696
O 1.0519 1.5891 4.8219
Li 1.5894 4.7674 0.8338
Li 0.9827 4.7674 6.3290
As 0.9627 1.5891 0.9496
Li 4.1537 0.0184 7.3209
O 1.5333 0.1875 1.7760
O 1.0388 2.9907 7.2712
Li 3.5549 1.5891 10.1568
O 0.7647 4.7674 10.0295
Li 1.5816 3.1966 9.1649
As 3.5348 4.7674 4.5457
Li 3.5627 3.1599 1.8257
As 1.6095 1.5891 6.4449
O 4.0924 4.7674 6.1686
Li 1.5816 6.3381 9.1649
O 1.5203 1.5891 10.3172
Li 3.5627 0.0184 1.8257
O 3.6240 4.7674 0.6733
O 4.1055 6.1690 3.7193
O 3.3368 1.5891 6.4563
O 3.6109 3.3658 9.2146
Li 4.1537 3.1599 7.3209
Li 4.1616 1.5891 4.6615
O 1.8075 4.7674 4.5342
Li 0.9906 6.3381 3.6696
O 3.6109 6.1690 9.2146
O 1.5333 2.9907 1.7760
O 4.3796 1.5891 0.9611
As 4.1816 4.7674 10.0409
O 4.1055 3.3658 3.7193
```

***

Entry 6:
VASP calculation (PBE) on a relaxed LiAs4P4O16 crystal.

uncorrected energy = -6.52 eV per atom
energy of formation = -2.10 eV per atom

Structure (extended XYZ):
```
25
Lattice="-4.4951 -1.3867 2.0352 3.7400 -3.8258 5.6537 0.0911 7.5755 5.3628" Properties=species:S:1:pos:R:3 pbc="T T T"
Li 2.1974 3.5560 10.5036
O 2.7090 3.9095 8.6782
O -0.8792 1.3529 2.2071
O 0.3279 1.5569 5.0122
O 1.1511 -0.1390 2.5189
O -1.2515 -1.2040 6.0967
O -1.1225 0.7986 7.7462
P 0.0778 2.9743 5.4254
As -2.6083 4.0293 6.6658
P -0.3936 -0.1700 2.2419
O -1.4664 3.3203 5.3932
O -1.0470 -0.8171 3.5141
O 0.5942 3.4039 6.8587
O 0.4830 3.2228 9.6860
O -0.6301 6.6403 6.3598
O 0.7223 3.9955 4.4023
O 0.7686 -0.9187 7.6185
O -1.4145 -1.5922 8.6069
O -0.0252 -4.1211 6.8179
O 0.2676 1.1254 11.0393
P -0.2584 2.6651 10.9264
As 1.9803 -1.6597 6.4702
As 1.4748 2.2346 8.0071
P -0.7902 -0.6267 7.5091
As -2.1362 -0.1518 4.8596
```

***

Entry 7:
VASP calculation (PBE) on a relaxed Li2Ti2AsPO10 crystal.

uncorrected energy = -7.32 eV per atom
energy of formation = -2.80 eV per atom

Structure (extended XYZ):
```
32
Lattice="6.5453 0.0000 0.0000 0.0000 7.4589 0.0000 0.0000 0.0000 7.5859" Properties=species:S:1:pos:R:3 pbc="T T T"
O 3.2727 5.5969 6.0089
O 0.0000 1.8844 5.2136
Li 4.8476 5.5181 7.5683
O 3.2727 5.5451 3.4562
Li 1.6978 1.9408 3.7753
O 3.2727 0.7923 4.6871
O 0.0000 4.3410 6.7393
O 0.0000 5.5745 1.4206
O 3.2727 1.8620 2.2160
O 1.3554 0.1426 2.8305
Ti 0.0000 3.5046 1.2542
O 0.0000 5.7098 4.3069
Ti 3.2727 0.2242 6.3131
As 0.0000 0.8899 6.6211
O 4.5313 3.6848 0.9596
O 5.1899 7.3164 6.6235
O 3.2727 1.9139 7.2491
O 3.2727 6.6666 0.8942
O 0.0000 1.7491 0.5139
Ti 0.0000 3.9543 5.0472
O 4.5313 3.7742 4.7526
Li 4.8476 1.9408 3.7753
Ti 3.2727 7.2347 2.5202
Li 1.6978 5.5181 7.5683
O 5.1899 0.1426 2.8305
O 2.0140 3.7742 4.7526
As 0.0000 6.5691 2.8281
O 0.0000 3.1180 2.9463
O 1.3554 7.3164 6.6235
O 2.0140 3.6848 0.9596
P 3.2727 2.7752 0.9560
P 3.2727 4.6837 4.7489
```

***

Entry 8:
VASP calculation (PBE) on a relaxed Li2ThAs2O8 crystal.

uncorrected energy = -6.75 eV per atom
energy of formation = -2.54 eV per atom

Structure (extended XYZ):
```
52
Lattice="14.0423 0.0000 0.0000 0.0000 5.6958 0.0000 0.0000 2.5785 8.8662" Properties=species:S:1:pos:R:3 pbc="T T T"
O 12.9799 2.3486 1.9815
As 5.2500 7.3610 7.5702
O 13.2664 5.1028 1.6776
As 8.7923 0.9133 1.2961
O 0.7758 3.1715 7.1886
O 4.8823 5.0062 0.3529
O 3.1890 3.9676 6.7076
Th 8.9267 3.4532 3.3774
O 11.0165 2.5630 4.4267
O 8.3143 1.8810 5.1300
O 5.9587 3.0778 6.8848
Li 13.1390 6.0359 6.8479
O 10.2101 1.4588 2.1587
Th 5.1156 4.8211 5.4888
Li 3.5194 0.7547 0.9205
Th 12.1367 6.3011 3.3774
O 10.0469 5.4109 4.4267
O 3.9953 2.8634 4.4396
O 0.7624 6.4408 3.4892
O 10.8533 4.3067 2.1587
O 11.5102 3.2376 7.1298
O 2.5321 5.0367 1.7364
O 6.2453 6.0194 7.1886
O 6.2588 3.5929 3.4892
O 2.1389 2.1583 0.3529
O 7.7835 4.6814 5.3770
Li 0.9032 2.2384 2.0183
O 9.1600 3.2682 8.5133
Li 6.1179 5.0863 2.0183
O 5.7280 6.3933 3.7362
O 3.8322 6.8155 6.7076
O 7.7970 2.2549 1.6776
As 8.8855 6.0228 5.5872
Li 10.5229 7.5196 7.9457
O 4.4890 2.1888 1.7364
As 1.8644 5.0994 3.2790
O 8.0835 5.1965 1.9815
O 11.9034 6.1160 8.5133
O 12.7491 4.7288 5.1300
O 1.0624 5.9257 6.8848
O 13.2799 1.8335 5.3770
Li 7.9244 3.1880 6.8479
O 1.2932 3.5455 3.7362
Li 3.5018 3.6026 0.9205
Th 1.9056 1.9733 5.4888
As 12.2711 3.7612 1.2961
O 9.5532 6.0855 7.1298
As 12.1779 3.1749 5.5872
Li 10.5405 4.6717 7.9457
As 1.7712 4.5131 7.5702
As 5.1567 2.2515 3.2790
O 3.0258 5.7113 4.4396
```

***

Entry 9:
VASP calculation (PBE) on a relaxed LiUAsO6 crystal.

uncorrected energy = -7.53 eV per atom
energy of formation = -2.70 eV per atom
energy above the most stable polymorph in this dataset = 0.09 eV/f.u.

Structure (extended XYZ):
```
36
Lattice="-4.2061 -0.0803 3.1180 -2.1728 -10.0229 0.8515 3.8248 -4.8839 9.3398" Properties=species:S:1:pos:R:3 pbc="T T T"
O -1.8176 -10.9373 11.8889
Li -0.1739 -7.5749 9.2027
O -0.7366 -4.0498 1.4204
O -1.4712 -9.1752 4.7969
Li -2.3803 -7.4123 4.1066
O -4.1179 -8.2203 3.5187
O -1.8000 -9.6204 2.0304
O -1.4155 -6.5939 2.4402
O -2.8457 -2.4397 3.4198
As -0.3382 -5.2518 2.5697
O 1.1536 -4.2822 6.8623
O -1.5119 -3.5289 6.6451
U -0.4469 -2.1129 0.3937
Li -1.5529 -12.5839 9.0493
U -1.6804 -9.7959 7.0388
O -1.1387 -8.3932 10.8690
O -2.5835 -13.3287 10.5673
Li -1.0014 -2.4033 4.2600
O -2.3464 -8.1700 7.4550
O -1.0423 -11.4583 6.6641
O -3.7078 -10.7049 6.4470
U -0.8738 -5.1912 6.2705
O -0.7542 -5.3668 11.2789
O -2.0456 -10.4931 9.1952
O -1.0830 -5.8119 8.5124
As -1.3771 -4.7181 9.8078
O 1.5637 -6.7669 9.7905
As -1.1771 -10.2690 3.5015
O -0.2078 -6.8171 5.8542
O 0.2915 -12.5474 9.8895
O 0.3758 -9.0809 7.8714
O -2.9300 -5.9062 5.4379
O -0.5086 -4.4941 4.1141
As -2.2160 -9.7354 10.7395
U -2.1073 -12.8743 12.9155
O 0.0293 -1.6585 2.7420
```

***

Entry 10:
VASP calculation (PBE) on a relaxed LiUAsO6 crystal.

uncorrected energy = -7.54 eV per atom
energy of formation = -2.71 eV per atom
energy above the most stable polymorph in this dataset = 0.00 eV/f.u.

Structure (extended XYZ):
```
18
Lattice="5.1704 0.0000 0.0000 -1.3449 5.2673 0.0000 -1.2996 -0.3876 10.0359" Properties=species:S:1:pos:R:3 pbc="T T T"
O 0.3111 1.1363 6.7632
O -0.0095 4.4396 1.6689
O 0.4593 4.1203 6.1968
O -1.1792 4.1018 8.4146
U 1.2630 2.4398 5.0179
U 0.0000 0.0000 0.0000
O 3.7051 0.7778 1.6212
O 3.0475 3.6275 0.1362
O -0.5215 1.2521 9.8997
Li -1.3301 2.0593 7.7350
As 1.1991 -0.1657 7.4525
O 2.5354 0.4401 8.3670
Li 3.8560 2.8204 2.3009
O 2.0666 0.7594 3.8391
O 2.7754 2.4518 6.0532
As 1.3268 5.0454 2.5833
O 2.2148 3.7433 3.2727
O -0.2495 2.4278 3.9827
```

***

Entry 11:
VASP calculation (PBE) on a relaxed LiZnAsO4 crystal.

uncorrected energy = -5.55 eV per atom
energy of formation = -2.00 eV per atom

Structure (extended XYZ):
```
42
Lattice="-4.6764 6.4132 -3.9494 -1.0188 0.8954 8.7611 8.5603 1.3213 -1.8898" Properties=species:S:1:pos:R:3 pbc="T T T"
As -1.3812 7.0693 -3.1305
O 3.1250 3.5824 3.3545
O 0.0637 2.4344 3.3599
O 0.2637 3.1648 6.8003
O 4.4389 5.4597 1.1737
O 0.2330 7.1188 0.3976
Li 1.6944 6.3350 -3.9980
O 3.0597 7.6144 -3.3588
O 6.0405 2.8359 2.1535
As 3.8001 6.1482 -0.2721
O 3.3442 7.7742 0.0803
Li -1.7119 4.0703 0.8794
O 3.9480 6.1613 4.2521
Zn 0.5239 5.7114 -0.9425
Zn 4.2518 3.5772 1.7054
As -0.7667 6.9649 1.7938
O -2.3562 6.9170 -1.7128
O 6.6094 3.5234 -0.4811
Li 2.0105 1.9361 3.5328
O 2.4534 5.2138 -0.8055
As 7.2700 2.8157 0.9494
O 6.1622 3.6858 5.2023
Zn 0.8435 1.2995 6.5804
Li 6.2137 2.1342 3.9778
As -1.3751 3.7104 6.7841
O -0.5551 4.0390 -0.7727
O 2.3651 1.1824 5.3223
Li -3.4000 5.1093 4.6176
O -0.0457 7.8916 3.0577
As 2.9170 4.8099 4.5466
O 4.2016 3.2691 -2.6417
O -0.8983 5.3009 2.2239
Zn -3.6787 5.4991 -1.3890
Zn 5.9312 2.5270 -2.0340
O -3.1290 7.0522 4.3701
O -3.5014 4.7812 0.4453
O 3.4132 2.3271 0.3925
O 0.1783 6.4447 -2.7571
O 1.2891 5.3766 4.5078
Li 2.7911 3.3001 -1.2612
O -1.6893 4.3629 5.2230
Zn -0.2495 4.3446 3.8530
```